Run w
DFT (PBE) results for Ir2OsN10Cl10 after structural relaxation.

abc: 11.973 8.299 11.913
angles: 90.00 107.24 90.00
Space group C2/m (No. 12)
Inequivalent atoms, fractional coordinates:
Ir  0.168  0.000  0.291 [4 per cell]
Os  0.000  0.500  0.000 [2 per cell]
N  0.011  0.000  0.238 [4 per cell]
N  0.154  0.155  0.453 [8 per cell]
N  0.209  0.176  0.230 [8 per cell]
Cl  0.000  0.220  0.000 [4 per cell]
Cl  0.043  0.500  0.201 [4 per cell]
Cl  0.121  0.500  0.597 [4 per cell]
Cl  0.152  0.000  0.523 [4 per cell]
Cl  0.196  0.500  0.017 [4 per cell]

Density in g/cm³: 3.14
Crystal system: monoclinic
Total magnetic moment in μB per cell: 13.495

***

Run x
DFT (PBE) results for Ir2OsN10Cl10 after structural relaxation.

abc: 10.778 7.984 16.917
angles: 90.00 107.10 90.00
Space group C2/m (No. 12)
Inequivalent atoms, fractional coordinates:
Ir  0.055  0.000  0.246 [4 per cell]
Os  0.000  0.500  0.000 [2 per cell]
N  0.007  0.181  0.806 [8 per cell]
N  0.164  0.430  0.472 [8 per cell]
N  0.236  0.000  0.237 [4 per cell]
Cl  0.000  0.213  0.000 [4 per cell]
Cl  0.039  0.000  0.377 [4 per cell]
Cl  0.075  0.500  0.144 [4 per cell]
Cl  0.147  0.500  0.673 [4 per cell]
Cl  0.210  0.500  0.995 [4 per cell]

Density in g/cm³: 2.55
Crystal system: monoclinic
Total magnetic moment in μB per cell: 11.995

***

Q: Which of them is the least stable? A: run w.

***

Run w
DFT (PBE) results for K4NaCl5 after structural relaxation.

abc: 4.4046 4.4046 54.2846
angles: 90.00 90.00 120.00
Space group R-3m (No. 166, hexagonal axes)
Inequivalent atoms, fractional coordinates:
K  0.0000  0.0000  0.1035 [6 per cell]
K  0.0000  0.0000  0.2987 [6 per cell]
Na  0.0000  0.0000  0.5000 [3 per cell]
Cl  0.0000  0.0000  0.0000 [3 per cell]
Cl  0.0000  0.0000  0.1952 [6 per cell]
Cl  0.0000  0.0000  0.4024 [6 per cell]

Density in g/cm³: 1.95
Crystal system: trigonal

***

Run x
DFT (PBE) results for K4NaCl5 after structural relaxation.

abc: 4.444 4.444 31.128
angles: 90.00 90.00 90.00
Space group I4/mmm (No. 139)
Inequivalent atoms, fractional coordinates:
K  0.000  0.000  0.097 [4 per cell]
K  0.000  0.000  0.302 [4 per cell]
Na  0.000  0.000  0.500 [2 per cell]
Cl  0.000  0.000  0.000 [2 per cell]
Cl  0.000  0.000  0.200 [4 per cell]
Cl  0.000  0.000  0.406 [4 per cell]

Density in g/cm³: 1.93
Crystal system: tetragonal

***

Q: Which of them is the least stable? A: run x.

***

Run w
DFT (PBE) results for K2NaCl3 after structural relaxation.

abc: 4.406 4.406 18.335
angles: 90.00 90.00 90.00
Space group I4/mmm (No. 139)
Inequivalent atoms, fractional coordinates:
K  0.000  0.000  0.166 [4 per cell]
Na  0.000  0.000  0.500 [2 per cell]
Cl  0.000  0.000  0.000 [2 per cell]
Cl  0.000  0.000  0.342 [4 per cell]

Density in g/cm³: 1.94
Crystal system: tetragonal
Total magnetic moment in μB per cell: 0.004

***

Run x
DFT (PBE) results for K2NaCl3 after structural relaxation.

abc: 4.3404 4.3404 10.7417
angles: 90.00 90.00 120.00
Space group P-3m1 (No. 164)
Inequivalent atoms, fractional coordinates:
K  0.3333  0.6667  0.1788 [2 per cell]
Na  0.0000  0.0000  0.5000 [1 per cell]
Cl  0.0000  0.0000  0.0000 [1 per cell]
Cl  0.3333  0.6667  0.6428 [2 per cell]

Density in g/cm³: 1.97
Crystal system: trigonal

***

Q: Which of them is the least stable? A: run w.

***

Run w
DFT (PBE) results for K2SnCl4O after structural relaxation.

abc: 12.472 9.558 7.415
angles: 90.00 90.00 90.00
Space group Pnma (No. 62)
Inequivalent atoms, fractional coordinates:
K  0.158  0.028  0.109 [8 per cell]
Sn  0.032  0.250  0.473 [4 per cell]
Cl  0.068  0.062  0.689 [8 per cell]
Cl  0.161  0.750  0.421 [4 per cell]
Cl  0.243  0.250  0.420 [4 per cell]
O  0.024  0.250  0.216 [4 per cell]

Density in g/cm³: 2.67
Crystal system: orthorhombic
Total magnetic moment in μB per cell: 0.001

***

Run x
DFT (PBE) results for K2SnCl4O after structural relaxation.

abc: 8.584 12.029 4.171
angles: 90.00 90.00 90.00
Space group Pbam (No. 55)
Inequivalent atoms, fractional coordinates:
K  0.067  0.146  0.000 [4 per cell]
Sn  0.000  0.500  0.500 [2 per cell]
Cl  0.128  0.697  0.500 [4 per cell]
Cl  0.184  0.436  0.000 [4 per cell]
O  0.000  0.000  0.500 [2 per cell]

Density in g/cm³: 2.74
Crystal system: orthorhombic
Total magnetic moment in μB per cell: 2.488

***

Q: Which of them is the least stable? A: run x.

***

Run w
DFT (PBE) results for KRbCl2 after structural relaxation.

abc: 5.552 5.552 3.926
angles: 90.00 90.00 90.00
Space group P4/mmm (No. 123)
Inequivalent atoms, fractional coordinates:
K  0.000  0.000  0.000 [1 per cell]
Rb  0.500  0.500  0.000 [1 per cell]
Cl  0.000  0.500  0.500 [2 per cell]

Density in g/cm³: 2.68
Crystal system: tetragonal
Total magnetic moment in μB per cell: 0.000

***

Run x
DFT (PBE) results for KRbCl2 after structural relaxation.

abc: 4.6250 4.6250 22.7371
angles: 90.00 90.00 120.00
Space group R-3m (No. 166, hexagonal axes)
Inequivalent atoms, fractional coordinates:
K  0.0000  0.0000  0.0000 [3 per cell]
Rb  0.0000  0.0000  0.5000 [3 per cell]
Cl  0.0000  0.0000  0.2540 [6 per cell]

Density in g/cm³: 2.31
Crystal system: trigonal

***

Q: Which of them is the least stable? A: run w.

***

Run w
DFT (PBE) results for LaCl3O3 after structural relaxation.

abc: 15.113 9.078 4.948
angles: 90.00 90.00 90.00
Space group Pnma (No. 62)
Inequivalent atoms, fractional coordinates:
La  0.011  0.250  0.091 [4 per cell]
Cl  0.084  0.535  0.238 [8 per cell]
Cl  0.168  0.250  0.824 [4 per cell]
O  0.014  0.250  0.605 [4 per cell]
O  0.186  0.682  0.746 [8 per cell]

Density in g/cm³: 2.87
Crystal system: orthorhombic
Total magnetic moment in μB per cell: 0.000

***

Run x
DFT (PBE) results for LaCl3O3 after structural relaxation.

abc: 7.0624 7.0624 4.0790
angles: 90.00 90.00 120.00
Space group P-62m (No. 189)
Inequivalent atoms, fractional coordinates:
La  0.0000  0.0000  0.0000 [1 per cell]
Cl  0.0000  0.7014  0.5000 [3 per cell]
O  0.0000  0.3533  0.0000 [3 per cell]

Density in g/cm³: 2.76
Crystal system: hexagonal
Total magnetic moment in μB per cell: 6.001

***

Q: Which of them is the least stable? A: run x.

***

Run w
DFT (PBE) results for La2ThTaCl3O6 after structural relaxation.

abc: 9.447 16.450 9.448
angles: 90.00 120.00 90.00
Space group Pm (No. 6)
Inequivalent atoms, fractional coordinates:
La  0.000  0.000  0.000 [1 per cell]
La  0.001  0.333  0.000 [2 per cell]
La  0.188  0.500  0.825 [1 per cell]
La  0.277  0.332  0.505 [2 per cell]
La  0.512  0.000  0.234 [1 per cell]
La  0.683  0.166  0.594 [2 per cell]
La  0.687  0.500  0.597 [1 per cell]
La  0.913  0.167  0.318 [2 per cell]
Th  0.181  0.167  0.824 [2 per cell]
Th  0.272  0.000  0.497 [1 per cell]
Th  0.508  0.334  0.238 [2 per cell]
Th  0.923  0.500  0.323 [1 per cell]
Ta  0.262  0.167  0.244 [2 per cell]
Ta  0.262  0.500  0.244 [1 per cell]
Ta  0.928  0.333  0.577 [2 per cell]
Ta  0.930  0.000  0.577 [1 per cell]
Cl  0.355  0.000  0.861 [1 per cell]
Cl  0.358  0.333  0.868 [2 per cell]
Cl  0.401  0.165  0.675 [2 per cell]
Cl  0.403  0.500  0.669 [1 per cell]
Cl  0.544  0.168  0.100 [2 per cell]
Cl  0.552  0.500  0.105 [1 per cell]
Cl  0.640  0.000  0.718 [1 per cell]
Cl  0.644  0.333  0.719 [2 per cell]
Cl  0.784  0.335  0.152 [2 per cell]
Cl  0.787  0.000  0.152 [1 per cell]
Cl  0.835  0.500  0.964 [1 per cell]
Cl  0.837  0.166  0.961 [2 per cell]
O  0.068  0.413  0.540 [2 per cell]
O  0.076  0.255  0.555 [2 per cell]
O  0.080  0.078  0.550 [2 per cell]
O  0.114  0.423  0.276 [2 per cell]
O  0.119  0.244  0.275 [2 per cell]
O  0.121  0.086  0.280 [2 per cell]
O  0.228  0.091  0.064 [2 per cell]
O  0.236  0.246  0.067 [2 per cell]
O  0.237  0.421  0.074 [2 per cell]
O  0.433  0.088  0.392 [2 per cell]
O  0.439  0.247  0.384 [2 per cell]
O  0.440  0.421  0.386 [2 per cell]
O  0.748  0.258  0.431 [2 per cell]
O  0.751  0.412  0.426 [2 per cell]
O  0.756  0.079  0.435 [2 per cell]
O  0.959  0.410  0.752 [2 per cell]
O  0.964  0.252  0.755 [2 per cell]
O  0.965  0.079  0.754 [2 per cell]

Density in g/cm³: 7.00
Crystal system: monoclinic
Total magnetic moment in μB per cell: 0.003

***

Run x
DFT (PBE) results for La2ThTaCl3O6 after structural relaxation.

abc: 9.404 5.484 9.436
angles: 90.00 119.45 90.00
Space group Pm (No. 6)
Inequivalent atoms, fractional coordinates:
La  0.000  0.000  0.000 [1 per cell]
La  0.086  0.500  0.394 [1 per cell]
La  0.361  0.500  0.172 [1 per cell]
La  0.587  0.500  0.677 [1 per cell]
Th  0.264  0.000  0.758 [1 per cell]
Th  0.762  0.000  0.497 [1 per cell]
Ta  0.013  0.500  0.750 [1 per cell]
Ta  0.345  0.000  0.418 [1 per cell]
Cl  0.437  0.500  0.892 [1 per cell]
Cl  0.491  0.000  0.131 [1 per cell]
Cl  0.625  0.000  0.845 [1 per cell]
Cl  0.732  0.500  0.327 [1 per cell]
Cl  0.867  0.500  0.029 [1 per cell]
Cl  0.913  0.000  0.276 [1 per cell]
O  0.044  0.259  0.606 [2 per cell]
O  0.158  0.261  0.920 [2 per cell]
O  0.202  0.236  0.245 [2 per cell]
O  0.313  0.231  0.566 [2 per cell]
O  0.526  0.231  0.449 [2 per cell]
O  0.834  0.262  0.713 [2 per cell]

Density in g/cm³: 7.00
Crystal system: monoclinic
Total magnetic moment in μB per cell: 0.007

***

Q: Which of them is the least stable? A: run w.

***

Run w
DFT (PBE) results for LiPr2Ta2Cl2O7 after structural relaxation.

abc: 15.622 4.058 7.037
angles: 90.00 114.49 90.00
Space group Cm (No. 8)
Inequivalent atoms, fractional coordinates:
Li  0.000  0.000  0.000 [2 per cell]
Pr  0.181  0.000  0.651 [2 per cell]
Pr  0.299  0.500  0.342 [2 per cell]
Ta  0.025  0.500  0.304 [2 per cell]
Ta  0.455  0.000  0.689 [2 per cell]
Cl  0.170  0.000  0.058 [2 per cell]
Cl  0.310  0.500  0.932 [2 per cell]
O  0.031  0.000  0.310 [2 per cell]
O  0.071  0.500  0.645 [2 per cell]
O  0.166  0.500  0.428 [2 per cell]
O  0.313  0.000  0.564 [2 per cell]
O  0.408  0.000  0.347 [2 per cell]
O  0.449  0.500  0.682 [2 per cell]
O  0.492  0.000  0.997 [2 per cell]

Density in g/cm³: 6.82
Crystal system: monoclinic
Total magnetic moment in μB per cell: 0.000

***

Run x
DFT (PBE) results for LiPr2Ta2Cl2O7 after structural relaxation.

abc: 16.015 4.033 6.876
angles: 90.00 111.19 90.00
Space group Cm (No. 8)
Inequivalent atoms, fractional coordinates:
Li  0.000  0.000  0.000 [2 per cell]
Pr  0.063  0.500  0.668 [2 per cell]
Pr  0.196  0.000  0.389 [2 per cell]
Ta  0.333  0.500  0.723 [2 per cell]
Ta  0.413  0.500  0.334 [2 per cell]
Cl  0.064  0.500  0.108 [2 per cell]
Cl  0.185  0.000  0.954 [2 per cell]
O  0.049  0.000  0.451 [2 per cell]
O  0.197  0.500  0.596 [2 per cell]
O  0.299  0.500  0.384 [2 per cell]
O  0.326  0.000  0.709 [2 per cell]
O  0.384  0.500  0.034 [2 per cell]
O  0.422  0.000  0.360 [2 per cell]
O  0.454  0.500  0.698 [2 per cell]

Density in g/cm³: 6.69
Crystal system: monoclinic
Total magnetic moment in μB per cell: 0.000

***

Q: Which of them is the least stable? A: run x.